A plane-wave DFT calculation with PBE+U was carried out for Li2Mn2Cr3O12 after structural relaxation.

## Properties
The crystal system is orthorhombic.

Unit cell a=9.288 b=9.340 c=12.894 alpha=90.00 beta=90.00 gamma=90.00
Fractional coordinates of all 76 atoms:
1 Li 0.220 0.273 0.186
2 Li 0.780 0.773 0.186
3 Li 0.280 0.773 0.314
4 Li 0.720 0.273 0.314
5 Li 0.280 0.727 0.686
6 Li 0.720 0.227 0.686
7 Li 0.220 0.227 0.814
8 Li 0.780 0.727 0.814
9 Mn 0.253 0.965 0.118
10 Mn 0.747 0.465 0.118
11 Mn 0.753 0.965 0.382
12 Mn 0.247 0.465 0.382
13 Mn 0.247 0.035 0.618
14 Mn 0.753 0.535 0.618
15 Mn 0.253 0.535 0.882
16 Mn 0.747 0.035 0.882
17 Cr 0.459 0.250 0.000
18 Cr 0.541 0.750 0.000
19 Cr 0.100 0.606 0.145
20 Cr 0.900 0.106 0.145
21 Cr 0.400 0.106 0.355
22 Cr 0.600 0.606 0.355
23 Cr 0.041 0.750 0.500
24 Cr 0.959 0.250 0.500
25 Cr 0.400 0.394 0.645
26 Cr 0.600 0.894 0.645
27 Cr 0.100 0.894 0.855
28 Cr 0.900 0.394 0.855
29 O 0.139 0.573 0.023
30 O 0.861 0.073 0.023
31 O 0.560 0.369 0.060
32 O 0.440 0.869 0.060
33 O 0.352 0.169 0.088
34 O 0.648 0.669 0.088
35 O 0.079 0.111 0.161
36 O 0.921 0.611 0.161
37 O 0.171 0.764 0.179
38 O 0.829 0.264 0.179
39 O 0.830 0.975 0.219
40 O 0.170 0.475 0.219
41 O 0.330 0.975 0.281
42 O 0.670 0.475 0.281
43 O 0.671 0.764 0.321
44 O 0.329 0.264 0.321
45 O 0.421 0.611 0.339
46 O 0.579 0.111 0.339
47 O 0.148 0.669 0.412
48 O 0.852 0.169 0.412
49 O 0.060 0.369 0.440
50 O 0.940 0.869 0.440
51 O 0.639 0.573 0.477
52 O 0.361 0.073 0.477
53 O 0.361 0.427 0.523
54 O 0.639 0.927 0.523
55 O 0.060 0.131 0.560
56 O 0.940 0.631 0.560
57 O 0.148 0.831 0.588
58 O 0.852 0.331 0.588
59 O 0.421 0.889 0.661
60 O 0.579 0.389 0.661
61 O 0.329 0.236 0.679
62 O 0.671 0.736 0.679
63 O 0.330 0.525 0.719
64 O 0.670 0.025 0.719
65 O 0.170 0.025 0.781
66 O 0.830 0.525 0.781
67 O 0.171 0.736 0.821
68 O 0.829 0.236 0.821
69 O 0.079 0.389 0.839
70 O 0.921 0.889 0.839
71 O 0.352 0.331 0.912
72 O 0.648 0.831 0.912
73 O 0.440 0.631 0.940
74 O 0.560 0.131 0.940
75 O 0.139 0.927 0.977
76 O 0.861 0.427 0.977

A plane-wave DFT calculation with PBE+U was carried out for Li24Mn5Cr7O36 after structural relaxation.

## Properties
The crystal system is triclinic.

Unit cell a=5.017 b=9.739 c=13.268 alpha=96.99 beta=100.44 gamma=94.82
Fractional coordinates of all 72 atoms:
1 Li 0.167 0.000 0.833
2 Li 0.052 0.001 0.614
3 Li 0.000 0.750 0.250
4 Li 0.336 0.750 0.917
5 Li 0.046 0.498 0.111
6 Li 0.382 0.501 0.781
7 Li 0.167 0.499 0.333
8 Li 0.500 0.500 0.000
9 Li 0.284 0.500 0.553
10 Li 0.333 0.250 0.416
11 Li 0.495 0.001 0.499
12 Li 0.286 0.001 0.054
13 Li 0.616 0.999 0.720
14 Li 0.381 0.000 0.280
15 Li 0.713 0.999 0.947
16 Li 0.670 0.750 0.584
17 Li 0.717 0.500 0.446
18 Li 0.830 0.501 0.666
19 Li 0.618 0.501 0.221
20 Li 0.952 0.501 0.889
21 Li 0.666 0.250 0.082
22 Li 0.836 0.999 0.166
23 Li 0.003 0.250 0.751
24 Li 0.952 0.000 0.386
25 Mn 0.113 0.252 0.974
26 Mn 0.109 0.749 0.472
27 Mn 0.221 0.249 0.195
28 Mn 0.443 0.249 0.638
29 Mn 0.777 0.751 0.806
30 Cr 0.228 0.750 0.693
31 Cr 0.563 0.250 0.860
32 Cr 0.442 0.751 0.141
33 Cr 0.561 0.751 0.364
34 Cr 0.772 0.248 0.303
35 Cr 0.894 0.251 0.528
36 Cr 0.892 0.749 0.026
37 O 0.998 0.861 0.928
38 O 0.068 0.636 0.784
39 O 0.994 0.361 0.429
40 O 0.144 0.362 0.643
41 O 0.264 0.364 0.882
42 O 0.329 0.861 0.596
43 O 0.074 0.134 0.284
44 O 0.193 0.138 0.524
45 O 0.401 0.136 0.951
46 O 0.151 0.863 0.142
47 O 0.259 0.865 0.382
48 O 0.481 0.863 0.811
49 O 0.330 0.137 0.736
50 O 0.182 0.638 0.024
51 O 0.402 0.636 0.451
52 O 0.521 0.639 0.691
53 O 0.338 0.639 0.238
54 O 0.662 0.637 0.902
55 O 0.336 0.362 0.095
56 O 0.663 0.361 0.762
57 O 0.471 0.363 0.308
58 O 0.593 0.365 0.549
59 O 0.816 0.363 0.978
60 O 0.665 0.863 0.264
61 O 0.523 0.138 0.191
62 O 0.734 0.136 0.617
63 O 0.855 0.139 0.859
64 O 0.601 0.865 0.049
65 O 0.811 0.862 0.477
66 O 0.929 0.864 0.715
67 O 0.671 0.138 0.403
68 O 0.733 0.636 0.117
69 O 0.862 0.638 0.357
70 O 0.996 0.636 0.569
71 O 0.931 0.364 0.216
72 O 0.999 0.138 0.071

no.,E (eV/atom),calculated formation energy (eV/f.u.)
1,-6.842,-37.098
2,-6.241,-159.100